An optimized crystal structure of ThAl2, computed with r2SCAN.

Cell and atoms, written as extended XYZ:
```
6
Lattice="2.122 4.190 3.194 2.958 -1.225 4.691 5.605 0.904 0.140" Properties=species:S:1:pos:R:3 pbc="T T T"
Al 3.863 2.547 1.667
Al 5.342 1.935 4.012
Al 4.282 -0.160 2.415
Al 2.540 1.483 3.942
Th 9.349 3.386 7.021
Th 1.336 0.484 1.003
```

## Properties
- Calculated formation energy: -0.4476 eV per atom
- Calculated density: 7.33 g/cm3
- Magnetic moment: 0.00 μB per formula unit
- Calculated volume: 21.589 A^3/atom